[1]
YLuRh2 | PBE-GGA | optimized geometry

```
YLuRh2
1.0
2.168 -0.925 4.201
-2.255 -2.632 3.346
1.529 -4.460 0.990
Y Lu Rh
1 1 2
Direct
0.000 0.000 0.000 Y
0.500 0.500 0.500 Lu
0.250 0.250 0.250 Rh
0.750 0.750 0.750 Rh
```

The crystal system is cubic. Its space-group type is Fm-3m. As for the formation energy: -0.9201 eV per atom.

=====

[2]
TiZn2O4 | PBE-GGA | optimized geometry

```
TiZn2O4
1.0
-2.608 -4.317 -3.404
5.488 -1.823 -1.893
0.450 -5.403 6.508
Ti Zn O
4 8 16
Direct
0.239 0.500 0.250 Ti
0.500 0.761 0.500 Ti
0.500 0.239 0.000 Ti
0.761 0.500 0.750 Ti
0.000 0.243 0.000 Zn
0.000 0.757 0.500 Zn
0.254 0.254 0.625 Zn
0.254 0.746 0.875 Zn
0.243 0.000 0.250 Zn
0.757 0.000 0.750 Zn
0.746 0.254 0.375 Zn
0.746 0.746 0.125 Zn
0.516 0.734 0.733 O
0.516 0.266 0.767 O
0.734 0.974 0.499 O
0.734 0.026 0.001 O
0.734 0.516 0.517 O
0.734 0.484 0.983 O
0.974 0.734 0.751 O
0.974 0.266 0.749 O
0.026 0.734 0.249 O
0.026 0.266 0.251 O
0.266 0.516 0.483 O
0.266 0.484 0.017 O
0.266 0.974 0.501 O
0.266 0.026 0.999 O
0.484 0.734 0.267 O
0.484 0.266 0.233 O
```

The total magnetization is 0.0 Bohr magnetons per cell. The crystal system is tetragonal. Its space-group type is P4_322. The MP2020-corrected energy comes out at -0.250 Ha/atom. For the energy above the most stable polymorph in this dataset, the calculation gives 0.0001 eV/atom. As for the formation energy: -2.4967 eV per atom.

=====

[3]
Th4P6O23 | PBE-GGA | optimized geometry

```
Th4P6O23
1.0
-3.923 5.503 2.371
-2.572 -5.521 8.559
10.375 4.737 6.173
Th P O
8 12 46
Direct
0.000 0.489 0.914 Th
0.500 0.022 0.816 Th
0.000 0.022 0.684 Th
0.500 0.491 0.588 Th
0.000 0.511 0.414 Th
0.500 0.978 0.316 Th
0.000 0.978 0.184 Th
0.500 0.509 0.088 Th
0.000 0.125 0.917 P
0.500 0.375 0.865 P
0.211 0.723 0.743 P
0.789 0.723 0.743 P
0.000 0.374 0.636 P
0.500 0.126 0.583 P
0.000 0.875 0.417 P
0.500 0.625 0.365 P
0.789 0.277 0.243 P
0.211 0.277 0.243 P
0.000 0.626 0.136 P
0.500 0.874 0.083 P
0.500 0.949 0.980 O
0.000 0.267 0.938 O
0.669 0.425 0.930 O
0.331 0.425 0.930 O
0.500 0.229 0.860 O
0.167 0.082 0.847 O
0.833 0.082 0.847 O
0.804 0.653 0.845 O
0.196 0.653 0.845 O
0.500 0.429 0.756 O
0.277 0.863 0.756 O
0.723 0.863 0.756 O
0.000 0.429 0.745 O
0.000 0.751 0.699 O
0.690 0.654 0.658 O
0.310 0.654 0.658 O
0.669 0.083 0.652 O
0.331 0.083 0.652 O
0.000 0.228 0.641 O
0.832 0.424 0.571 O
0.168 0.424 0.571 O
0.500 0.268 0.563 O
0.000 0.950 0.520 O
0.500 0.051 0.480 O
0.000 0.733 0.438 O
0.669 0.575 0.430 O
0.331 0.575 0.430 O
0.500 0.771 0.360 O
0.167 0.918 0.347 O
0.833 0.918 0.347 O
0.196 0.347 0.345 O
0.804 0.347 0.345 O
0.500 0.571 0.256 O
0.723 0.137 0.256 O
0.277 0.137 0.256 O
0.000 0.571 0.245 O
0.000 0.249 0.199 O
0.690 0.346 0.158 O
0.310 0.346 0.158 O
0.669 0.917 0.152 O
0.331 0.917 0.152 O
0.000 0.772 0.141 O
0.168 0.576 0.071 O
0.832 0.576 0.071 O
0.500 0.732 0.063 O
0.000 0.050 0.020 O
```

The crystal system is orthorhombic. Its space-group type is Pmc2_1. The MP2020-corrected energy comes out at -0.321 Ha/atom. As for the formation energy: -3.3943 eV per atom.

=====

[4]
CsLi3I4 | PBE-GGA | optimized geometry

```
CsLi3I4
1.0
4.680 0.000 0.000
0.000 11.205 0.000
0.000 0.647 11.660
Cs Li I
2 6 8
Direct
0.500 0.868 0.153 Cs
0.500 0.420 0.300 Cs
0.000 0.011 0.444 Li
0.000 0.640 0.611 Li
0.500 0.288 0.664 Li
0.500 0.926 0.770 Li
0.500 0.544 0.937 Li
0.000 0.190 0.989 Li
0.000 0.584 0.067 I
0.000 0.147 0.229 I
0.000 0.770 0.404 I
0.500 0.065 0.566 I
0.000 0.396 0.572 I
0.500 0.683 0.734 I
0.000 0.969 0.894 I
0.500 0.299 0.903 I
```

The crystal system is monoclinic. Its space-group type is Pm. The MP2020-corrected energy comes out at -0.113 Ha/atom. As for the formation energy: -1.4896 eV per atom.

=====

[5]
NiTe8Mo6 | PBE-GGA | optimized geometry

```
NiTe8Mo6
1.0
-1.196 5.946 3.795
-5.639 1.526 -4.179
-4.058 -4.306 4.169
Ni Te Mo
1 8 6
Direct
0.828 0.932 0.507 Ni
0.792 0.774 0.806 Te
0.205 0.229 0.211 Te
0.903 0.256 0.638 Te
0.106 0.751 0.374 Te
0.269 0.626 0.867 Te
0.731 0.373 0.129 Te
0.588 0.887 0.244 Te
0.389 0.119 0.739 Te
0.590 0.444 0.747 Mo
0.414 0.547 0.246 Mo
0.757 0.571 0.458 Mo
0.248 0.424 0.542 Mo
0.460 0.760 0.577 Mo
0.548 0.243 0.423 Mo
```

The total magnetization is 0.0 Bohr magnetons per cell. The crystal system is triclinic. Its space-group type is P1. As for the formation energy: -0.2408 eV per atom.

=====

[6]
NaMg14C | PBE-GGA | optimized geometry

```
NaMg14C
1.0
-6.003 -0.159 -1.973
3.136 -5.393 1.017
-3.130 -0.023 9.528
Na Mg C
1 14 1
Direct
0.167 0.333 0.125 Na
0.175 0.838 0.125 Mg
0.156 0.828 0.625 Mg
0.662 0.325 0.125 Mg
0.672 0.344 0.625 Mg
0.662 0.838 0.125 Mg
0.672 0.828 0.625 Mg
0.326 0.174 0.397 Mg
0.326 0.174 0.853 Mg
0.326 0.653 0.397 Mg
0.326 0.653 0.853 Mg
0.847 0.174 0.397 Mg
0.847 0.174 0.853 Mg
0.833 0.667 0.370 Mg
0.833 0.667 0.880 Mg
0.167 0.333 0.625 C
```

The total magnetization is 0.0 Bohr magnetons per cell. The crystal system is hexagonal. Its space-group type is P-6m2. For the energy above the most stable polymorph in this dataset, the calculation gives 0.0612 eV/atom. As for the formation energy: 0.3073 eV per atom.

=====

[7]
CdH16C4S4N8Cl2 | PBE-GGA | optimized geometry

```
CdH16C4S4N8Cl2
1.0
14.114 0.000 0.000
0.000 14.114 0.000
0.000 0.000 9.450
Cd H C S N Cl
4 64 16 16 32 8
Direct
0.250 0.750 0.750 Cd
0.750 0.250 0.750 Cd
0.750 0.750 0.250 Cd
0.250 0.250 0.250 Cd
0.951 0.756 0.974 H
0.049 0.244 0.974 H
0.744 0.451 0.474 H
0.256 0.549 0.474 H
0.549 0.744 0.526 H
0.451 0.256 0.526 H
0.756 0.049 0.026 H
0.244 0.951 0.026 H
0.047 0.083 0.716 H
0.953 0.917 0.716 H
0.417 0.547 0.216 H
0.583 0.453 0.216 H
0.453 0.417 0.784 H
0.547 0.583 0.784 H
0.083 0.953 0.284 H
0.917 0.047 0.284 H
0.258 0.059 0.521 H
0.742 0.941 0.521 H
0.441 0.758 0.021 H
0.559 0.242 0.021 H
0.242 0.441 0.979 H
0.758 0.559 0.979 H
0.059 0.742 0.479 H
0.941 0.258 0.479 H
0.289 0.949 0.593 H
0.711 0.051 0.593 H
0.551 0.789 0.093 H
0.449 0.211 0.093 H
0.211 0.551 0.907 H
0.789 0.449 0.907 H
0.949 0.711 0.407 H
0.051 0.289 0.407 H
0.129 0.139 0.604 H
0.871 0.861 0.604 H
0.361 0.629 0.104 H
0.639 0.371 0.104 H
0.371 0.361 0.896 H
0.629 0.639 0.896 H
0.139 0.871 0.396 H
0.861 0.129 0.396 H
0.858 0.678 0.819 H
0.142 0.322 0.819 H
0.822 0.358 0.319 H
0.178 0.642 0.319 H
0.642 0.822 0.681 H
0.358 0.178 0.681 H
0.678 0.142 0.181 H
0.322 0.858 0.181 H
0.075 0.746 0.968 H
0.925 0.254 0.968 H
0.754 0.575 0.468 H
0.246 0.425 0.468 H
0.425 0.754 0.532 H
0.575 0.246 0.532 H
0.746 0.925 0.032 H
0.254 0.075 0.032 H
0.907 0.604 0.689 H
0.093 0.396 0.689 H
0.896 0.407 0.189 H
0.104 0.593 0.189 H
0.593 0.896 0.811 H
0.407 0.104 0.811 H
0.604 0.093 0.311 H
0.396 0.907 0.311 H
0.162 0.003 0.661 C
0.838 0.997 0.661 C
0.497 0.662 0.161 C
0.503 0.338 0.161 C
0.338 0.497 0.839 C
0.662 0.503 0.839 C
0.003 0.838 0.339 C
0.997 0.162 0.339 C
0.003 0.672 0.814 C
0.997 0.328 0.814 C
0.828 0.503 0.314 C
0.172 0.497 0.314 C
0.497 0.828 0.686 C
0.503 0.172 0.686 C
0.672 0.997 0.186 C
0.328 0.003 0.186 C
0.132 0.910 0.770 S
0.868 0.090 0.770 S
0.590 0.632 0.270 S
0.410 0.368 0.270 S
0.368 0.590 0.730 S
0.632 0.410 0.730 S
0.910 0.868 0.230 S
0.090 0.132 0.230 S
0.099 0.629 0.724 S
0.901 0.371 0.724 S
0.871 0.599 0.224 S
0.129 0.401 0.224 S
0.401 0.871 0.776 S
0.599 0.129 0.776 S
0.629 0.901 0.276 S
0.371 0.099 0.276 S
0.107 0.080 0.657 N
0.893 0.920 0.657 N
0.420 0.607 0.157 N
0.580 0.393 0.157 N
0.393 0.420 0.843 N
0.607 0.580 0.843 N
0.080 0.893 0.343 N
0.920 0.107 0.343 N
0.240 0.001 0.579 N
0.760 0.999 0.579 N
0.499 0.740 0.079 N
0.501 0.260 0.079 N
0.260 0.499 0.921 N
0.740 0.501 0.921 N
0.001 0.760 0.421 N
0.999 0.240 0.421 N
0.916 0.651 0.769 N
0.084 0.349 0.769 N
0.849 0.416 0.269 N
0.151 0.584 0.269 N
0.584 0.849 0.731 N
0.416 0.151 0.731 N
0.651 0.084 0.231 N
0.349 0.916 0.231 N
0.010 0.728 0.929 N
0.990 0.272 0.929 N
0.772 0.510 0.429 N
0.228 0.490 0.429 N
0.490 0.772 0.571 N
0.510 0.228 0.571 N
0.728 0.990 0.071 N
0.272 0.010 0.071 N
0.237 0.750 0.034 Cl
0.763 0.250 0.034 Cl
0.750 0.737 0.534 Cl
0.250 0.263 0.534 Cl
0.263 0.750 0.466 Cl
0.737 0.250 0.466 Cl
0.750 0.763 0.966 Cl
0.250 0.237 0.966 Cl
```

The total magnetization is 0.0 Bohr magnetons per cell. The crystal system is tetragonal. Its space-group type is P4_2/n. The MP2020-corrected energy comes out at -0.203 Ha/atom. As for the formation energy: -0.4064 eV per atom.

=====

Looking at uncorrected energy for the records above, in order, we have -29.4 -179.7 -544.3 -46.2 -99.6 -28.0 -760.2 eV per cell.